(1)
Density functional theory data (PBE+U) for a relaxed structure of Li2Fe2P4H3O16.

Computed properties:
The calculation puts the energy above the most stable polymorph in this dataset at 1 meV/atom. As for the formation energy: -2.225 eV per atom.

The structure in POSCAR format:
```
Li2Fe2P4H3O16
1.0
-2.981 -0.249 7.320
-4.101 -6.932 -1.767
8.821 -4.563 -0.923
H P O Fe Li
6 8 32 4 4
Cartesian
-0.360 -6.052 1.838
-2.835 -3.394 2.953
-2.856 -0.385 7.129
2.110 -5.743 2.775
3.918 -8.282 1.363
1.530 -2.705 6.640
-0.455 -7.851 -0.173
2.870 -5.050 0.776
2.183 -3.902 4.717
-1.565 -2.739 1.243
3.341 -9.008 3.409
3.972 -10.117 -0.617
-1.076 -6.741 3.854
-2.200 -1.616 5.230
6.152 -6.397 -0.293
0.017 -7.653 4.486
-4.404 -5.367 4.960
4.203 -8.586 -0.422
-0.478 -1.872 1.917
-1.692 -5.855 4.935
2.765 -8.090 4.484
-3.858 -6.284 1.241
3.645 -3.558 4.340
1.774 -4.122 0.188
4.071 -10.525 -2.086
-0.221 -6.330 0.034
0.483 -8.598 0.810
-0.310 -8.268 -1.632
-0.906 -3.619 0.188
2.057 -3.502 6.249
-1.911 -8.203 0.293
2.212 -9.797 2.721
-2.192 -3.729 2.287
2.208 -6.021 1.828
3.419 -5.940 -0.332
-2.174 -7.581 3.173
3.999 -4.238 1.437
-0.368 -5.807 2.804
1.956 -5.418 4.625
-0.742 -1.269 4.840
4.077 -8.099 2.330
2.519 -10.439 -0.139
-2.314 -1.176 6.754
-2.439 -3.125 5.197
5.629 -5.435 3.412
1.205 -3.144 3.822
0.186 -4.604 -1.106
5.142 -3.558 2.968
4.585 -6.894 -1.574
-3.410 -8.170 1.665
0.568 -9.466 3.915
1.172 -2.337 0.738
5.694 -4.566 0.263
-3.793 -7.169 4.390
```



(2)
Density functional theory data (PBE+U) for a relaxed structure of Mn2O3F.

Computed properties:
The calculation puts the energy above the most stable polymorph in this dataset at 5 meV/atom. As for the formation energy: -2.036 eV per atom.

The structure in POSCAR format:
```
Mn2O3F
1.0
2.082 1.466 -3.828
-3.541 -1.768 -2.339
-5.849 10.572 0.867
O F Mn
12 4 8
Cartesian
-0.457 3.494 -3.326
-2.662 3.860 -1.567
-5.407 4.128 -2.186
-4.125 6.503 -1.350
-1.720 1.129 -4.181
-4.686 6.387 -3.723
-5.537 9.171 -1.133
-3.378 8.773 -2.893
-3.224 3.744 -3.940
0.972 0.827 -3.534
-1.152 1.246 -1.783
-6.104 9.054 -3.531
-2.471 -1.152 -2.622
-3.783 1.489 -2.441
-2.086 6.037 -3.065
-6.782 6.909 -1.997
1.251 2.741 -3.694
-7.186 4.840 -1.800
-3.789 5.058 -2.614
-3.126 10.653 -3.045
-5.010 7.836 -2.461
-2.089 2.555 -2.894
-5.729 2.207 -2.016
-0.651 -0.106 -3.104
```



(3)
Density functional theory data (PBE+U) for a relaxed structure of CaLa2WO6.

Computed properties:
As for the formation energy: -3.146 eV per atom.

The structure in POSCAR format:
```
CaLa2WO6
1.0
5.031 -2.999 0.000
5.031 2.999 0.000
3.243 0.000 4.877
O La Ca W
6 2 1 1
Cartesian
5.692 1.972 1.685
4.910 -0.660 3.819
7.613 -1.972 3.192
6.085 -1.312 0.613
8.395 0.660 1.058
7.220 1.312 4.265
10.186 0.000 3.734
3.119 0.000 1.143
6.653 0.000 2.439
0.000 0.000 0.000
```



(4)
Density functional theory data (PBE+U) for a relaxed structure of MnOF.

Computed properties:
As for the formation energy: -2.315 eV per atom.

The structure in POSCAR format:
```
MnOF
1.0
-5.342 -0.202 -1.955
-0.504 -6.416 2.507
-2.121 3.260 5.741
F O Mn
8 8 8
Cartesian
-5.499 -1.734 1.229
-1.187 -3.900 2.039
-6.748 0.716 4.431
-1.941 0.950 3.720
-7.074 -3.243 5.493
-5.048 -1.816 3.998
-3.358 -4.267 3.708
-3.637 -0.365 -0.049
-1.040 0.097 0.902
-4.296 -3.180 6.066
-6.042 -4.067 2.678
-3.746 -4.145 0.857
-2.930 -1.692 2.138
-4.206 0.624 5.447
-4.565 0.694 2.451
-2.259 -1.460 4.894
-2.721 0.252 1.843
-5.299 -5.315 1.387
-3.005 2.169 5.075
-5.302 -3.794 4.488
-6.041 -0.468 2.861
-3.727 -2.304 0.511
-4.020 -1.285 5.852
-1.912 -2.756 3.507
```



(5)
Density functional theory data (PBE+U) for a relaxed structure of Na5LiFe2P2C2O14.

Computed properties:
The calculation puts the energy above the most stable polymorph in this dataset at 4 meV/atom. As for the formation energy: -2.284 eV per atom.

The structure in POSCAR format:
```
Na5LiFe2P2C2O14
1.0
6.603 0.000 0.000
-0.088 8.988 0.000
-0.035 -0.176 10.382
O P Na Fe C Li
28 4 10 4 4 2
Cartesian
1.456 8.135 4.064
4.850 7.772 7.548
4.930 3.883 0.499
3.677 2.853 3.731
1.498 3.734 6.829
0.322 6.017 6.681
1.508 5.059 4.653
2.841 6.097 1.474
4.892 7.637 5.309
4.872 4.951 8.673
5.023 0.677 6.318
6.120 2.713 8.874
1.587 1.175 5.073
1.607 3.860 1.709
4.930 0.730 1.129
6.157 2.795 3.701
4.879 7.841 2.376
0.359 6.099 1.508
4.981 5.078 3.553
4.971 3.752 5.729
4.888 7.698 0.134
1.591 1.114 10.248
1.549 4.929 9.883
1.600 0.970 8.006
1.549 8.082 9.253
1.629 1.039 2.834
3.639 2.715 8.908
2.802 5.959 6.651
1.595 5.253 1.053
1.534 5.155 6.211
4.945 3.657 4.171
4.885 3.559 9.329
1.522 8.136 6.535
4.923 0.594 9.022
1.556 8.218 1.360
4.957 0.676 3.847
6.568 2.319 1.301
3.214 6.585 3.886
-0.089 6.492 9.081
3.265 2.227 6.496
3.201 6.487 9.076
3.279 2.324 1.306
1.606 3.133 3.725
4.873 5.679 6.657
4.903 5.771 1.493
1.576 3.040 8.889
4.894 8.364 6.390
1.610 0.386 9.172
1.585 0.448 3.992
4.870 8.425 1.210
-0.051 6.511 3.868
6.530 2.301 6.514
```



(6)
Density functional theory data (PBE+U) for a relaxed structure of Ba3SrEr2Mo2O12.

Computed properties:
As for the formation energy: -3.087 eV per atom.

The structure in POSCAR format:
```
Ba3SrEr2Mo2O12
1.0
-2.819 -4.533 -2.619
1.839 -1.882 -5.341
5.795 -8.350 1.763
O Ba Mo Er Sr
12 3 2 2 1
Cartesian
4.193 -12.809 -5.349
1.343 -2.880 -3.422
3.489 -11.941 -2.797
2.879 -6.404 -5.035
5.566 -10.618 -4.275
1.931 -8.351 -1.156
4.482 -7.005 -2.396
3.041 -9.352 -3.929
-0.760 -4.145 -1.893
0.636 -1.967 -0.831
1.759 -5.404 -2.284
0.328 -7.718 -3.811
1.311 -8.738 -6.306
3.497 -6.023 0.110
4.709 -9.718 -1.441
3.619 -11.080 -4.643
1.195 -3.686 -1.554
-0.976 -6.420 -7.955
2.402 -7.377 -3.104
0.112 -5.051 -4.759
```



(7)
Density functional theory data (PBE+U) for a relaxed structure of Li5Co9P16O56.

Computed properties:
As for the formation energy: -2.232 eV per atom.

The structure in POSCAR format:
```
Li5Co9P16O56
1.0
-6.342 -6.012 6.193
7.874 2.343 5.013
-5.938 6.345 9.160
P O Li Co
16 56 5 9
Cartesian
-3.195 2.477 6.504
4.520 2.433 5.392
-4.939 5.212 12.815
-1.129 0.253 13.884
-5.607 1.278 10.582
-2.901 -1.868 9.537
-3.866 0.239 14.924
-9.006 0.209 14.925
-0.441 2.557 5.393
-1.724 -1.134 4.782
0.534 -2.485 7.596
-2.686 3.829 15.564
-1.595 4.462 10.786
1.272 5.488 13.614
1.194 1.249 9.726
-5.679 -2.841 6.784
-0.032 2.330 3.891
-1.479 5.491 11.898
0.340 -0.362 2.476
1.085 -0.023 10.746
1.766 6.917 13.263
-3.579 3.943 6.803
-5.652 -1.824 7.935
4.281 1.235 4.475
-2.592 1.764 7.698
-6.583 3.117 16.145
-6.325 -1.973 11.786
-2.997 -2.915 8.439
-6.155 -4.250 7.190
-1.755 0.984 12.724
-4.612 3.788 12.412
0.267 -1.013 7.876
3.453 2.620 6.432
0.076 1.523 6.364
-5.687 0.110 9.557
-4.280 1.199 11.323
-2.075 3.094 11.254
1.964 4.850 8.369
-2.290 3.588 14.086
-2.188 -2.548 4.416
-4.280 3.801 15.599
-2.192 2.773 16.559
1.253 4.581 12.403
-4.748 3.094 17.943
-2.103 -0.020 3.804
-4.355 1.686 5.898
2.127 -0.366 4.357
-8.651 1.382 15.825
5.996 2.390 5.926
-5.484 2.581 9.616
-7.859 -1.374 9.604
2.213 1.017 8.659
-4.303 0.447 16.419
-0.759 -1.192 13.483
-2.262 0.153 15.034
-0.266 4.430 9.995
-2.037 2.535 5.373
-4.226 1.397 14.013
-8.070 -0.031 13.784
-1.756 -2.292 10.590
-2.516 -0.480 9.051
-0.257 1.362 9.182
-2.223 5.276 15.866
-0.028 5.513 14.423
-4.188 -1.902 10.402
-4.348 -2.802 6.040
-2.704 4.944 9.735
-2.143 -0.859 6.255
-10.502 0.294 14.468
1.527 2.410 10.683
-0.116 -1.143 4.819
-6.857 1.403 11.432
2.032 0.595 6.824
-7.991 -0.118 11.915
-4.303 -2.004 12.677
-4.922 0.050 7.156
-8.148 2.958 11.681
-3.370 1.627 17.847
-2.507 -3.064 6.570
-5.996 -1.742 9.822
-1.110 1.046 2.531
-1.895 5.708 13.745
7.844 2.349 5.035
-1.193 0.388 7.902
1.538 4.387 10.464
-3.245 2.333 12.548
```



(8)
Density functional theory data (PBE+U) for a relaxed structure of Mn2Zn3Si4O14.

Computed properties:
As for the formation energy: -2.538 eV per atom.

The structure in POSCAR format:
```
Mn2Zn3Si4O14
1.0
3.885 8.351 0.000
-3.885 8.351 0.000
0.000 5.439 8.336
O Si Zn Mn
28 8 6 4
Cartesian
-2.000 10.870 5.630
0.736 12.369 4.900
-0.249 7.035 1.880
0.249 15.106 6.456
1.582 16.860 7.828
1.582 8.001 4.676
-2.844 11.856 2.686
0.314 17.692 3.433
-1.582 14.140 3.660
2.000 11.271 2.707
-1.582 5.282 0.508
1.728 5.438 1.071
-2.844 7.565 1.483
2.844 14.576 6.854
2.844 10.285 5.651
-0.314 4.450 4.904
0.249 9.755 6.049
2.000 8.151 1.462
1.728 13.983 3.097
-0.314 20.411 7.601
0.314 1.730 0.735
-1.728 16.703 7.265
0.736 12.491 7.605
-0.736 9.772 3.436
-0.249 12.386 2.288
-0.736 9.650 0.732
-2.000 13.991 6.875
-1.728 8.158 5.240
-1.049 15.228 7.467
-1.049 9.633 5.038
-1.744 13.042 2.468
1.049 6.914 0.870
1.744 9.099 5.868
1.744 15.762 6.636
1.049 12.508 3.298
-1.744 6.380 1.700
0.852 18.800 7.454
-0.852 16.081 3.286
-0.810 12.430 6.252
0.810 9.711 2.084
-0.852 3.341 0.883
0.852 6.060 5.051
-2.248 9.711 2.084
2.248 12.430 6.252
0.000 2.720 4.168
0.000 0.000 0.000
```



(9)
Density functional theory data (PBE+U) for a relaxed structure of Li3V2P3O12.

Computed properties:
The calculation puts the energy above the most stable polymorph in this dataset at 35 meV/atom. As for the formation energy: -2.693 eV per atom.

The structure in POSCAR format:
```
Li3V2P3O12
1.0
4.429 7.186 0.000
-4.429 7.186 0.000
0.000 4.756 7.168
Li P O V
6 6 24 4
Cartesian
2.215 3.593 0.000
-0.340 6.933 6.158
-0.340 14.574 4.594
0.340 4.555 2.574
0.340 12.196 1.010
-2.215 5.971 3.584
-0.846 11.554 3.340
0.846 7.575 3.828
4.038 10.754 5.376
-0.846 5.197 0.244
-4.038 8.375 1.792
0.846 13.932 6.924
0.479 4.801 5.717
0.685 11.694 3.078
3.175 11.204 4.162
-1.314 11.321 6.948
-0.479 2.423 2.133
1.188 6.473 2.798
-3.175 8.826 0.578
-3.175 7.925 3.005
-1.515 4.956 1.647
0.685 5.056 0.506
1.188 10.278 0.786
1.515 14.173 5.521
-1.188 12.656 4.370
3.175 10.303 6.589
-1.515 11.795 1.937
-1.314 10.186 3.804
0.479 16.706 5.035
-0.685 7.434 4.090
1.314 8.943 3.364
1.515 7.334 5.231
-0.685 14.073 6.662
-0.479 14.328 1.451
-1.188 8.851 6.382
1.314 7.808 0.220
-2.181 12.833 6.108
2.181 6.295 1.060
2.181 10.455 2.524
-2.181 8.674 4.644
```



(10)
Density functional theory data (PBE+U) for a relaxed structure of V2O2F3.

Computed properties:
The calculation puts the energy above the most stable polymorph in this dataset at 0 meV/atom. As for the formation energy: -2.842 eV per atom.

The structure in POSCAR format:
```
V2O2F3
1.0
-4.195 -0.028 3.713
-2.052 -4.546 2.552
2.816 -0.382 6.680
O F V
4 6 4
Cartesian
-1.800 -0.513 2.961
-3.807 -2.650 7.007
0.418 -2.411 5.862
-1.696 -4.323 9.966
-1.755 -0.476 5.829
-4.467 -1.470 4.561
-1.721 -4.482 7.176
-1.275 -2.085 8.288
1.015 -3.540 8.431
-2.206 -2.901 4.689
-2.693 -3.419 8.576
-4.055 -3.325 5.211
0.570 -1.652 7.759
-0.785 -1.572 4.391
```